(1)
This record from the Materials Project describes crystalline Tm2NiPt at its relaxed geometry. The functional is GGA-PBE.

Unit cell a=6.760 b=6.760 c=6.760 alpha=90.00 beta=90.00 gamma=90.00
Space group Fm-3m (No. 225)
One atom of each set of equivalent atoms:
1 Tm 0.250 0.250 0.250
2 Ni 0.000 0.000 0.000
3 Pt 0.000 0.000 0.500



(2)
This record from the Materials Project describes crystalline BaTlHg2 at its relaxed geometry. The functional is GGA-PBE.

Unit cell a=7.985 b=7.985 c=7.985 alpha=90.00 beta=90.00 gamma=90.00
Space group Fm-3m (No. 225)
One atom of each set of equivalent atoms:
1 Ba 0.000 0.000 0.000
2 Tl 0.000 0.000 0.500
3 Hg 0.250 0.250 0.250



Number 1: E_form -0.87 eV per atom. Number 2: E_form -0.40 eV per atom.